DFT (GGA-PBE) results for crystalline ZnP2H11C2NO8 at its relaxed geometry.

Geometry as POSCAR:
```
ZnP2H11C2NO8
1.0
-1.1879 1.1468 -8.3500
0.1624 -8.2151 -2.2213
-14.5226 -2.1170 -0.0343
H O N P C Zn
44 32 4 8 8 4
direct
0.8774 0.1233 0.0088 H
0.5240 0.1900 0.0054 H
0.8678 0.6548 0.3251 H
0.8995 0.2368 0.8533 H
0.7067 0.4452 0.3142 H
0.1263 0.9184 0.7360 H
0.1900 0.5240 0.5054 H
0.3332 0.5039 0.1822 H
0.2860 0.6866 0.3614 H
0.7123 0.7019 0.4716 H
0.9184 0.1263 0.2360 H
0.7702 0.4571 0.1923 H
0.6389 0.2812 0.0742 H
0.6501 0.6210 0.2397 H
0.4571 0.7702 0.6923 H
0.7464 0.0558 0.6986 H
0.5009 0.9815 0.7824 H
0.7019 0.7123 0.9716 H
0.1233 0.8774 0.5088 H
0.0725 0.6214 0.5973 H
0.0558 0.7464 0.1986 H
0.6393 0.9656 0.6244 H
0.2913 0.1350 0.2121 H
0.5799 0.9306 0.3026 H
0.0302 0.7703 0.4507 H
0.2368 0.8995 0.3533 H
0.8039 0.8534 0.6774 H
0.6548 0.8678 0.8251 H
0.3791 0.8018 0.4291 H
0.1350 0.2913 0.7121 H
0.6210 0.6501 0.7397 H
0.2812 0.6389 0.5742 H
0.6214 0.0725 0.0973 H
0.5039 0.3332 0.6822 H
0.9815 0.5009 0.2824 H
0.7703 0.0302 0.9507 H
0.8018 0.3791 0.9291 H
0.9306 0.5799 0.8026 H
0.8534 0.8039 0.1774 H
0.9656 0.6393 0.1244 H
0.7556 0.3937 0.6803 H
0.3937 0.7556 0.1803 H
0.6866 0.2860 0.8614 H
0.4452 0.7067 0.8142 H
0.5740 0.3486 0.5681 O
0.0802 0.8947 0.8568 O
0.3732 0.1992 0.2631 O
0.7794 0.4799 0.6320 O
0.3486 0.5740 0.0681 O
0.3430 0.1151 0.5963 O
0.3782 0.3569 0.4010 O
0.0683 0.2242 0.6693 O
0.8947 0.0802 0.3568 O
0.2242 0.0683 0.1693 O
0.1464 0.9236 0.6674 O
0.7991 0.8336 0.9200 O
0.1175 0.3532 0.3329 O
0.3569 0.3782 0.9010 O
0.3389 0.5055 0.2498 O
0.9236 0.1464 0.1674 O
0.1992 0.3732 0.7631 O
0.8336 0.7991 0.4200 O
0.5055 0.3389 0.7498 O
0.0318 0.6303 0.9581 O
0.0922 0.0848 0.5228 O
0.6889 0.9584 0.2919 O
0.4799 0.7794 0.1320 O
0.6303 0.0318 0.4581 O
0.9584 0.6889 0.7919 O
0.1151 0.3430 0.0963 O
0.0848 0.0922 0.0228 O
0.3532 0.1175 0.8329 O
0.8343 0.4049 0.4659 O
0.6275 0.6299 0.5057 O
0.4049 0.8343 0.9659 O
0.6299 0.6275 0.0057 O
0.8905 0.5926 0.2671 N
0.1399 0.7726 0.4764 N
0.7726 0.1399 0.9764 N
0.5926 0.8905 0.7671 N
0.4590 0.7043 0.0391 P
0.0953 0.1658 0.1130 P
0.3023 0.3436 0.3134 P
0.3436 0.3023 0.8134 P
0.7043 0.4590 0.5391 P
0.1658 0.0953 0.6130 P
0.7623 0.9703 0.3872 P
0.9703 0.7623 0.8872 P
0.6291 0.1726 0.0433 C
0.2692 0.7917 0.3992 C
0.7031 0.9454 0.6859 C
0.7917 0.2692 0.8992 C
0.7439 0.5236 0.2527 C
0.5236 0.7439 0.7527 C
0.9454 0.7031 0.1859 C
0.1726 0.6291 0.5433 C
0.9882 0.2266 0.4282 Zn
0.2266 0.9882 0.9282 Zn
0.4785 0.2117 0.4930 Zn
0.2117 0.4785 0.9930 Zn
```

Properties
**SG**: Cc
**Calculated formation energy**: -32.65 eV/f.u.